[1]
Sr2N: relaxed, PBE.

abc: 7.331 7.331 7.331
angles: 30.50 30.50 30.50
Positions (direct):
Sr1 0.268 0.268 0.268
N1 0.000 0.000 0.000
Sr2 0.732 0.732 0.732

Results
Electronic total energy, eV/f.u.: -13.35
Symmetry: No. 166
E_form, kcal/mol of atoms: -15.4



[2]
NaGe3P3: relaxed, PBE.

abc: 3.666 8.434 10.409
angles: 90.00 90.00 90.00
Positions (direct):
Ge1 0.500 0.815 0.914
P1 0.500 0.068 0.007
P2 0.000 0.235 0.277
P3 0.000 0.765 0.777
Ge2 0.000 0.293 0.719
Na1 0.000 0.630 0.502
Ge3 0.500 0.185 0.414
Ge4 0.000 0.001 0.147
Na2 0.000 0.370 0.002
P4 0.500 0.932 0.507
P5 0.500 0.371 0.581
P6 0.500 0.629 0.081
Ge5 0.000 0.999 0.647
Ge6 0.000 0.707 0.219

Results
Largest piezoelectric modulus, C/m²: 0.58
Electronic total energy, eV/f.u.: -32.62
Symmetry: No. 26
E_form, kcal/mol of atoms: -3.9



[3]
LiTm4Ge4: relaxed, PBE.

abc: 7.047 7.622 14.475
angles: 90.00 90.00 90.00
Positions (direct):
Tm1 0.014 0.186 0.403
Ge1 0.332 0.966 0.463
Li1 0.158 0.521 0.750
Ge2 0.832 0.534 0.463
Tm2 0.672 0.824 0.128
Tm3 0.986 0.814 0.597
Ge3 0.285 0.863 0.750
Tm4 0.672 0.824 0.372
Tm5 0.828 0.324 0.628
Tm6 0.014 0.186 0.097
Li2 0.342 0.021 0.250
Ge4 0.517 0.412 0.750
Tm7 0.172 0.676 0.372
Ge5 0.668 0.034 0.537
Tm8 0.986 0.814 0.903
Ge6 0.832 0.534 0.037
Tm9 0.172 0.676 0.128
Ge7 0.715 0.137 0.250
Ge8 0.332 0.966 0.037
Tm10 0.514 0.314 0.403
Ge9 0.983 0.912 0.250
Ge10 0.483 0.588 0.250
Tm11 0.486 0.686 0.597
Ge11 0.215 0.363 0.250
Tm12 0.328 0.176 0.872
Ge12 0.168 0.466 0.963
Tm13 0.514 0.314 0.097
Ge13 0.017 0.088 0.750
Tm14 0.828 0.324 0.872
Tm15 0.486 0.686 0.903
Ge14 0.168 0.466 0.537
Ge15 0.668 0.034 0.963
Ge16 0.785 0.637 0.750
Tm16 0.328 0.176 0.628
Li3 0.658 0.979 0.750
Li4 0.842 0.479 0.250

Results
Electronic total energy, eV/f.u.: -45.57
Symmetry: No. 62
E_form, kcal/mol of atoms: -18.6



[4]
SrTcN3: relaxed, PBE.

abc: 6.551 6.551 6.709
angles: 75.64 75.64 33.47
Positions (direct):
N1 0.682 0.682 0.012
N2 0.156 0.156 0.404
N3 0.318 0.318 0.988
Tc1 0.157 0.157 0.141
Tc2 0.843 0.843 0.859
N4 0.993 0.993 0.909
N5 0.844 0.844 0.596
Sr1 0.616 0.616 0.670
Sr2 0.384 0.384 0.330
N6 0.007 0.007 0.091

Results
Electronic total energy, eV/f.u.: -38.79
Symmetry: No. 12
E_form, kcal/mol of atoms: -13.0



[5]
H3Ru3RhC12O12: relaxed, PBE.

abc: 8.393 9.339 13.845
angles: 82.58 80.41 68.86
Positions (direct):
C1 0.852 0.724 0.478
C2 0.592 0.515 0.163
H1 0.503 0.317 0.690
O1 0.414 0.201 0.027
Ru1 0.838 0.759 0.340
O2 0.586 0.799 0.973
O3 0.135 0.582 0.051
O4 0.432 0.654 0.577
H2 0.615 0.857 0.384
C3 0.807 0.988 0.113
O5 0.462 0.218 0.250
C4 0.695 0.091 0.609
Ru2 0.298 0.450 0.737
C5 0.004 0.658 0.090
O6 0.864 0.700 0.562
O7 0.218 0.570 0.282
C6 0.345 0.208 0.960
O8 0.753 0.088 0.867
C7 0.622 0.420 0.362
H3 0.199 0.422 0.639
O9 0.896 0.069 0.314
O10 0.247 0.912 0.133
O11 0.568 0.346 0.423
Ru3 0.513 0.120 0.716
O12 0.104 0.931 0.686
O13 0.952 0.695 0.806
C8 0.659 0.100 0.812
O14 0.192 0.927 0.454
C9 0.305 0.909 0.391
C10 0.655 0.792 0.040
C11 0.926 0.357 0.699
Ru4 0.487 0.880 0.284
Rh1 0.219 0.210 0.856
O15 0.174 0.895 0.909
Ru5 0.702 0.550 0.263
C12 0.472 0.090 0.261
C13 0.408 0.485 0.837
H4 0.385 0.143 0.616
C14 0.083 0.602 0.780
O16 0.048 0.305 0.194
C15 0.378 0.580 0.638
H5 0.801 0.578 0.361
O17 0.136 0.300 0.438
Ru6 0.162 0.241 0.660
O18 0.782 0.430 0.718
H6 0.497 0.683 0.310
Rh2 0.781 0.790 0.144
O19 0.538 0.782 0.750
C16 0.873 0.952 0.323
C17 0.074 0.643 0.301
C18 0.996 0.342 0.910
O20 0.476 0.508 0.896
O21 0.826 0.105 0.091
C19 0.917 0.398 0.220
C20 0.127 0.048 0.677
C21 0.341 0.900 0.188
C22 0.193 0.012 0.887
C23 0.528 0.910 0.739
C24 0.148 0.276 0.522
O22 0.865 0.418 0.949
O23 0.808 0.073 0.546
O24 0.524 0.492 0.104

Results
Electronic total energy, eV/f.u.: -233.70
Magnetic moment, μB per cell: 0.00
Symmetry: No. 2
E_form, kcal/mol of atoms: -19.7



[6]
Dy5Sc5Si20Ir8: relaxed, PBE.

abc: 12.533 12.533 4.185
angles: 90.00 90.00 90.09
Positions (direct):
Si1 0.665 0.201 0.000
Si2 0.334 0.800 0.000
Sc1 0.674 0.673 0.500
Ir1 0.481 0.247 0.000
Ir2 0.020 0.746 0.000
Si3 0.995 0.343 0.500
Si4 0.343 0.995 0.500
Si5 0.700 0.834 0.000
Si6 0.067 0.933 0.000
Si7 0.166 0.300 0.000
Ir3 0.254 0.980 0.000
Ir4 0.753 0.519 0.000
Si8 0.005 0.657 0.500
Si9 0.200 0.666 0.000
Dy1 0.885 0.885 0.500
Sc2 0.615 0.385 0.500
Si10 0.657 0.005 0.500
Si11 0.567 0.566 0.000
Si12 0.496 0.158 0.500
Ir5 0.521 0.753 0.000
Sc3 0.327 0.326 0.500
Si13 0.300 0.166 0.000
Si14 0.842 0.504 0.500
Dy2 0.000 0.500 0.000
Si15 0.933 0.067 0.000
Si16 0.434 0.433 0.000
Dy3 0.385 0.615 0.500
Si17 0.505 0.843 0.500
Ir6 0.979 0.254 0.000
Ir7 0.247 0.479 0.000
Ir8 0.746 0.021 0.000
Si18 0.157 0.495 0.500
Si19 0.834 0.700 0.000
Sc4 0.174 0.826 0.500
Dy4 0.500 0.000 0.000
Dy5 0.115 0.115 0.500
Sc5 0.826 0.174 0.500
Si20 0.799 0.335 0.000

Results
Electronic total energy, eV/f.u.: -268.00
Magnetic moment, μB per cell: 0.01
Symmetry: No. 38
E_form, kcal/mol of atoms: -20.7